1.
VASP calculation (GGA-PBE) on a geometry-optimized Na10Ti8Si9S3O48 structure.

Summary:
Electronic total energy, eV per atom: -7.29
Density, g cm⁻³: 2.83
Space group: P1 (1)
E (MP2020), eV per atom: -7.71
DFT formation energy, eV per atom: -2.904

Cell lengths 17.746, 8.888, 22.307 Å; angles 90.05, 89.94, 119.94 degrees
Positions (direct):
Na1 0.318 0.999 0.250
Na2 0.818 0.000 0.250
Na3 0.184 0.994 0.749
Na4 0.684 0.000 0.748
Na5 0.018 0.702 0.581
Na6 0.518 0.702 0.581
Na7 0.018 0.335 0.081
Na8 0.516 0.331 0.082
Na9 0.483 0.665 0.916
Na10 0.350 0.033 0.916
Na11 0.852 0.038 0.915
Na12 0.165 0.303 0.918
Na13 0.484 0.303 0.416
Na14 0.984 0.303 0.416
Na15 0.166 0.030 0.417
Na16 0.666 0.030 0.417
Na17 0.350 0.667 0.417
Na18 0.850 0.667 0.416
Na19 0.002 0.005 0.502
Na20 0.502 0.005 0.502
Na21 0.003 0.994 0.001
Na22 0.505 0.005 0.000
Na23 0.339 0.341 0.832
Na24 0.840 0.345 0.833
Na25 0.337 0.344 0.331
Na26 0.837 0.344 0.331
Na27 0.169 0.664 0.166
Na28 0.670 0.664 0.168
Na29 0.172 0.667 0.667
Na30 0.673 0.666 0.666
Ti1 0.992 0.993 0.353
Ti2 0.492 0.993 0.353
Ti3 0.996 0.992 0.852
Ti4 0.494 0.995 0.855
Ti5 0.993 0.978 0.647
Ti6 0.494 0.979 0.646
Ti7 0.995 0.011 0.146
Ti8 0.495 0.012 0.147
Ti9 0.333 0.333 0.686
Ti10 0.832 0.334 0.687
Ti11 0.329 0.335 0.187
Ti12 0.831 0.339 0.186
Ti13 0.326 0.315 0.978
Ti14 0.829 0.315 0.981
Ti15 0.327 0.336 0.480
Ti16 0.827 0.336 0.480
Ti17 0.174 0.672 0.018
Ti18 0.667 0.667 0.021
Ti19 0.175 0.679 0.519
Ti20 0.675 0.679 0.518
Ti21 0.165 0.650 0.315
Ti22 0.665 0.650 0.315
Ti23 0.166 0.672 0.816
Ti24 0.661 0.677 0.812
Si1 0.354 0.706 0.249
Si2 0.854 0.706 0.249
Si3 0.001 0.296 0.250
Si4 0.501 0.297 0.251
Si5 0.998 0.702 0.750
Si6 0.495 0.705 0.751
Si7 0.355 0.999 0.750
Si8 0.855 0.000 0.750
Si9 0.188 0.044 0.584
Si10 0.688 0.045 0.585
Si11 0.329 0.618 0.584
Si12 0.829 0.618 0.584
Si13 0.328 0.039 0.084
Si14 0.829 0.039 0.085
Si15 0.188 0.332 0.084
Si16 0.688 0.332 0.083
Si17 0.311 0.663 0.915
Si18 0.021 0.382 0.917
Si19 0.525 0.378 0.917
Si20 0.161 0.947 0.918
Si21 0.665 0.958 0.917
Si22 0.310 0.958 0.414
Si23 0.810 0.958 0.414
Si24 0.164 0.376 0.418
Si25 0.664 0.376 0.418
Si26 0.023 0.666 0.417
Si27 0.523 0.666 0.417
S1 0.143 0.999 0.250
S2 0.643 0.999 0.250
S3 0.143 0.289 0.749
S4 0.643 0.290 0.750
S5 0.478 0.331 0.583
S6 0.978 0.330 0.583
S7 0.477 0.624 0.083
S8 0.977 0.623 0.083
S9 0.810 0.662 0.916
O1 0.105 0.027 0.305
O2 0.605 0.027 0.305
O3 0.415 0.799 0.310
O4 0.915 0.799 0.310
O5 0.484 0.166 0.308
O6 0.984 0.166 0.308
O7 0.105 0.181 0.805
O8 0.605 0.178 0.804
O9 0.486 0.804 0.810
O10 0.986 0.810 0.807
O11 0.416 0.031 0.809
O12 0.915 0.029 0.810
O13 0.407 0.976 0.693
O14 0.906 0.975 0.693
O15 0.090 0.206 0.696
O16 0.591 0.211 0.695
O17 0.017 0.832 0.691
O18 0.519 0.833 0.691
O19 0.406 0.840 0.193
O20 0.906 0.840 0.193
O21 0.015 0.201 0.191
O22 0.516 0.203 0.191
O23 0.089 0.975 0.196
O24 0.589 0.975 0.196
O25 0.436 0.361 0.637
O26 0.936 0.361 0.637
O27 0.249 0.137 0.643
O28 0.749 0.136 0.644
O29 0.321 0.496 0.641
O30 0.821 0.496 0.641
O31 0.437 0.510 0.136
O32 0.936 0.509 0.137
O33 0.321 0.140 0.143
O34 0.819 0.136 0.144
O35 0.252 0.363 0.141
O36 0.752 0.364 0.141
O37 0.236 0.306 0.024
O38 0.739 0.308 0.025
O39 0.426 0.548 0.028
O40 0.923 0.543 0.029
O41 0.352 0.168 0.025
O42 0.851 0.166 0.025
O43 0.236 0.166 0.525
O44 0.736 0.166 0.525
O45 0.352 0.536 0.524
O46 0.852 0.536 0.524
O47 0.425 0.303 0.528
O48 0.925 0.303 0.528
O49 0.268 0.706 0.974
O50 0.771 0.698 0.970
O51 0.084 0.464 0.977
O52 0.583 0.470 0.977
O53 0.149 0.828 0.975
O54 0.651 0.826 0.973
O55 0.268 0.829 0.473
O56 0.768 0.829 0.473
O57 0.146 0.469 0.475
O58 0.646 0.469 0.475
O59 0.084 0.704 0.477
O60 0.584 0.704 0.477
O61 0.070 0.630 0.360
O62 0.570 0.630 0.360
O63 0.249 0.873 0.356
O64 0.749 0.873 0.356
O65 0.187 0.504 0.359
O66 0.687 0.505 0.359
O67 0.070 0.504 0.859
O68 0.573 0.510 0.860
O69 0.186 0.872 0.858
O70 0.686 0.871 0.858
O71 0.247 0.627 0.858
O72 0.757 0.637 0.862
O73 0.014 0.840 0.409
O74 0.514 0.840 0.409
O75 0.407 0.975 0.411
O76 0.907 0.975 0.411
O77 0.081 0.182 0.409
O78 0.581 0.182 0.409
O79 0.010 0.185 0.909
O80 0.511 0.184 0.910
O81 0.081 0.986 0.909
O82 0.578 0.971 0.909
O83 0.407 0.839 0.911
O84 0.898 0.826 0.911
O85 0.488 0.176 0.590
O86 0.988 0.176 0.590
O87 0.091 0.025 0.591
O88 0.591 0.025 0.591
O89 0.419 0.810 0.590
O90 0.919 0.810 0.590
O91 0.489 0.800 0.091
O92 0.987 0.798 0.091
O93 0.419 0.027 0.090
O94 0.919 0.027 0.090
O95 0.091 0.157 0.091
O96 0.592 0.159 0.090
O97 0.342 0.169 0.743
O98 0.841 0.167 0.743
O99 0.231 0.302 0.745
O100 0.731 0.304 0.745
O101 0.412 0.513 0.742
O102 0.911 0.513 0.742
O103 0.346 0.515 0.242
O104 0.845 0.515 0.242
O105 0.411 0.302 0.243
O106 0.910 0.301 0.243
O107 0.233 0.157 0.245
O108 0.733 0.157 0.245
O109 0.324 0.495 0.924
O110 0.822 0.511 0.924
O111 0.428 0.362 0.924
O112 0.924 0.358 0.924
O113 0.251 0.143 0.923
O114 0.755 0.147 0.923
O115 0.324 0.152 0.424
O116 0.824 0.152 0.424
O117 0.253 0.359 0.423
O118 0.753 0.359 0.423
O119 0.426 0.493 0.424
O120 0.926 0.493 0.424
O121 0.173 0.499 0.078
O122 0.675 0.501 0.076
O123 0.063 0.635 0.079
O124 0.565 0.637 0.079
O125 0.243 0.848 0.078
O126 0.745 0.847 0.075
O127 0.174 0.847 0.577
O128 0.673 0.847 0.578
O129 0.243 0.638 0.577
O130 0.743 0.638 0.577
O131 0.064 0.491 0.579
O132 0.564 0.492 0.579
O133 0.155 0.846 0.254
O134 0.655 0.846 0.254
O135 0.262 0.703 0.256
O136 0.762 0.703 0.256
O137 0.088 0.486 0.256
O138 0.588 0.487 0.256
O139 0.154 0.465 0.755
O140 0.655 0.467 0.757
O141 0.087 0.694 0.756
O142 0.586 0.694 0.757
O143 0.258 0.827 0.756
O144 0.759 0.825 0.758

=====

2.
VASP calculation (GGA-PBE) on a geometry-optimized Na3YTi3Si3S3O24 structure.

Summary:
Electronic total energy, eV per atom: -7.25
Density, g cm⁻³: 2.76
Space group: P1 (1)
E (MP2020), eV per atom: -7.69
DFT formation energy, eV per atom: -2.785

Cell lengths 8.894, 8.951, 22.718 Å; angles 89.73, 90.55, 120.26 degrees
Positions (direct):
Na1 0.353 0.354 0.242
Na2 0.632 0.625 0.755
Na3 0.970 0.290 0.416
Na4 0.994 0.000 0.503
Na5 0.995 0.991 0.000
Na6 0.664 0.331 0.836
Na7 0.676 0.327 0.331
Na8 0.311 0.663 0.163
Na9 0.299 0.653 0.665
Y1 0.996 0.998 0.358
Y2 0.678 0.336 0.687
Y3 0.689 0.345 0.178
Ti1 0.006 0.987 0.855
Ti2 0.018 0.021 0.649
Ti3 0.017 0.021 0.141
Ti4 0.664 0.366 0.982
Ti5 0.659 0.309 0.479
Ti6 0.338 0.662 0.019
Ti7 0.337 0.653 0.519
Ti8 0.341 0.657 0.316
Ti9 0.318 0.648 0.813
Si1 0.003 0.300 0.252
Si2 0.281 0.286 0.756
Si3 0.016 0.727 0.750
Si4 0.967 0.331 0.582
Si5 0.976 0.646 0.080
Si6 0.372 0.341 0.084
Si7 0.621 0.675 0.915
Si8 0.608 0.947 0.419
Si9 0.353 0.383 0.419
S1 0.288 0.988 0.248
S2 0.699 0.709 0.249
S3 0.714 0.990 0.753
S4 0.366 0.032 0.581
S5 0.669 0.632 0.582
S6 0.667 0.034 0.079
S7 0.041 0.376 0.917
S8 0.339 0.957 0.916
S9 0.048 0.653 0.419
O1 0.208 0.009 0.301
O2 0.797 0.780 0.304
O3 0.994 0.203 0.313
O4 0.172 0.169 0.811
O5 0.987 0.819 0.809
O6 0.816 0.008 0.807
O7 0.798 0.972 0.699
O8 0.167 0.200 0.694
O9 0.031 0.846 0.692
O10 0.788 0.809 0.197
O11 0.027 0.189 0.195
O12 0.180 0.972 0.195
O13 0.894 0.370 0.640
O14 0.468 0.107 0.635
O15 0.636 0.536 0.638
O16 0.922 0.529 0.138
O17 0.633 0.098 0.134
O18 0.467 0.372 0.146
O19 0.478 0.312 0.029
O20 0.833 0.535 0.026
O21 0.693 0.148 0.028
O22 0.457 0.147 0.529
O23 0.685 0.535 0.532
O24 0.834 0.304 0.524
O25 0.518 0.693 0.970
O26 0.151 0.465 0.969
O27 0.312 0.853 0.969
O28 0.501 0.838 0.476
O29 0.323 0.486 0.473
O30 0.148 0.671 0.473
O31 0.129 0.632 0.365
O32 0.493 0.855 0.359
O33 0.368 0.497 0.358
O34 0.124 0.485 0.863
O35 0.354 0.869 0.863
O36 0.500 0.645 0.856
O37 0.026 0.805 0.416
O38 0.803 0.980 0.421
O39 0.179 0.196 0.420
O40 0.028 0.205 0.912
O41 0.180 0.978 0.911
O42 0.817 0.845 0.909
O43 0.981 0.154 0.589
O44 0.193 0.022 0.584
O45 0.827 0.806 0.586
O46 0.980 0.829 0.092
O47 0.825 0.017 0.086
O48 0.178 0.164 0.087
O49 0.690 0.141 0.750
O50 0.475 0.319 0.753
O51 0.839 0.541 0.750
O52 0.660 0.526 0.246
O53 0.837 0.325 0.249
O54 0.461 0.147 0.243
O55 0.638 0.498 0.924
O56 0.867 0.359 0.922
O57 0.496 0.132 0.920
O58 0.631 0.146 0.424
O59 0.532 0.378 0.428
O60 0.873 0.492 0.422
O61 0.342 0.502 0.069
O62 0.166 0.677 0.061
O63 0.515 0.857 0.071
O64 0.340 0.857 0.573
O65 0.515 0.657 0.574
O66 0.160 0.500 0.571
O67 0.303 0.831 0.252
O68 0.525 0.701 0.253
O69 0.189 0.491 0.256
O70 0.296 0.480 0.760
O71 0.190 0.712 0.760
O72 0.541 0.828 0.755

=====

- What is the formula in the second record?
  Na3YTi3Si3S3O24